Computed, not measured: a relaxed Pr3B2N4 crystal at the meta-GGA r2SCAN level of DFT.

Geometry as CIF:
```
data_Pr3B2N4
_chemical_formula_sum 'Pr6 B4 N8'
_symmetry_space_group_name_H-M 'I m m m'
_symmetry_Int_Tables_number 71
_symmetry_space_group_name_Hall '-I 2 2'
_cell_length_a 3.582
_cell_length_b 6.345
_cell_length_c 10.915
_cell_angle_alpha 90.00
_cell_angle_beta 90.00
_cell_angle_gamma 90.00
loop_
_atom_site_label
_atom_site_type_symbol
_atom_site_fract_x
_atom_site_fract_y
_atom_site_fract_z
Pr1 Pr 0.000 0.000 0.000
Pr2 Pr 0.000 0.500 0.202
B1 B 0.000 0.142 0.500
N1 N 0.000 0.255 0.382
```

Results
density	6.7	g/cm³
spin magnetization	0.000	μB/atom
crystal system	orthorhombic
total energy	-16.976	eV per atom
formation energy	-1.48	eV/atom